Below is a relaxed CeGaO2 crystal, with properties calculated at the GGA-PBE level. Values from VASP.

Quantum ESPRESSO input file:
```
&SYSTEM
  ibrav = 0, nat = 4, ntyp = 3
/
ATOMIC_SPECIES
Ce 140.12 Ce.upf
Ga 69.72 Ga.upf
O 16.00 O.upf
CELL_PARAMETERS angstrom
4.098 0.000 0.000
0.000 4.098 0.000
0.000 0.000 3.319
ATOMIC_POSITIONS angstrom
Ce 0.000 0.000 0.000
Ga 2.049 2.049 1.659
O 0.000 2.049 1.659
O 2.049 0.000 1.659
```

Computed properties:
M_tot (μB per formula unit): 1.0
Calculated formation energy (eV/atom): -2.3976

Below is a relaxed Ce4Ga2S5O4 crystal, with properties calculated at the GGA-PBE level. Values from VASP.

Quantum ESPRESSO input file:
```
&SYSTEM
  ibrav = 0, nat = 15, ntyp = 4
/
ATOMIC_SPECIES
Ce 140.12 Ce.upf
Ga 69.72 Ga.upf
S 32.06 S.upf
O 16.00 O.upf
CELL_PARAMETERS angstrom
3.893 0.000 0.000
-0.028 7.862 0.000
-1.944 -1.940 9.275
ATOMIC_POSITIONS angstrom
Ce 0.000 0.000 0.000
Ce -0.026 3.877 0.101
Ce -0.033 3.884 6.748
Ce -0.005 0.053 6.760
Ga -0.627 1.194 3.400
Ga 1.930 5.058 3.404
S -0.032 3.762 3.378
S 1.921 1.848 1.331
S 1.916 5.989 1.352
S 1.906 6.000 5.448
S 1.919 1.901 5.488
O -0.031 5.874 7.987
O -0.017 1.962 8.107
O 1.920 3.911 8.035
O 1.941 -0.006 8.037
```

Computed properties:
M_tot (μB per formula unit): 2.0
Calculated formation energy (eV/atom): -2.6058